Below is an optimized crystal structure of Mn2SiRu, with properties calculated at the meta-GGA r2SCAN level.

CIF file:
```
data_Mn2SiRu
_cell_length_a 5.805
_cell_length_b 5.805
_cell_length_c 5.805
_cell_angle_alpha 90.00
_cell_angle_beta 90.00
_cell_angle_gamma 90.00
_symmetry_space_group_name_H-M 'P 1'
_symmetry_Int_Tables_number 1
loop_
_symmetry_equiv_pos_as_xyz
'x,y,z'
loop_
_atom_site_label
_atom_site_type_symbol
_atom_site_fract_x
_atom_site_fract_y
_atom_site_fract_z
Mn1 Mn 0.000 0.000 0.000
Mn2 Mn 0.000 0.500 0.500
Mn3 Mn 0.250 0.250 0.250
Mn4 Mn 0.250 0.750 0.750
Mn5 Mn 0.500 0.000 0.500
Mn6 Mn 0.500 0.500 0.000
Mn7 Mn 0.750 0.250 0.750
Mn8 Mn 0.750 0.750 0.250
Si1 Si 0.250 0.250 0.750
Si2 Si 0.250 0.750 0.250
Si3 Si 0.750 0.250 0.250
Si4 Si 0.750 0.750 0.750
Ru1 Ru 0.000 0.000 0.500
Ru2 Ru 0.000 0.500 0.000
Ru3 Ru 0.500 0.000 0.000
Ru4 Ru 0.500 0.500 0.500
```

Properties
**SG**: F-43m
**Uncorrected energy**: -261.3 eV/cell